1.
Here is a relaxed Fe4Te3Se crystal from the Materials Project database. Energies are from PBE-GGA.

a = 5.138 Å, b = 5.138 Å, c = 12.960 Å
α = 90.00°, β = 90.00°, γ = 90.00°
Space group I4mm (No. 107)
One atom of each set of equivalent atoms:
Fe 0.248 0.248 0.000 (multiplicity 8)
Te 0.000 0.000 0.641 (multiplicity 2)
Te 0.000 0.500 0.357 (multiplicity 4)
Se 0.000 0.000 0.125 (multiplicity 2)

## Properties
Its magnetization is 7.9 μB per formula unit. The crystal system is tetragonal. For the total energy after the MP2020 corrections, the calculation gives -6.01 eV/atom.


2.
Here is a relaxed LiI crystal from the Materials Project database. Energies are from PBE-GGA.

a = 4.5661 Å, b = 4.5661 Å, c = 7.4236 Å
α = 90.00°, β = 90.00°, γ = 120.00°
Space group P6_3mc (No. 186)
One atom of each set of equivalent atoms:
Li 0.3333 0.6667 0.0000 (multiplicity 2)
I 0.3333 0.6667 0.3759 (multiplicity 2)

## Properties
The value obtained for the energy above the most stable polymorph in this dataset is 0.0 kJ per mole of atoms. The crystal system is hexagonal. For the total energy after the MP2020 corrections, the calculation gives -3.14 eV/atom. As for the maximum piezoelectric response: 0.19 C/m2.


3.
Here is a relaxed LaMg8Al4 crystal from the Materials Project database. Energies are from PBE-GGA.

a = 9.856 Å, b = 9.856 Å, c = 5.833 Å
α = 90.00°, β = 90.00°, γ = 90.00°
Space group I4/mmm (No. 139)
One atom of each set of equivalent atoms:
La 0.000 0.000 0.000 (multiplicity 2)
Mg 0.000 0.216 0.500 (multiplicity 8)
Mg 0.000 0.348 0.000 (multiplicity 8)
Al 0.250 0.250 0.250 (multiplicity 8)

## Properties
Its magnetization is 0.1 μB per formula unit. The crystal system is tetragonal.


4.
Here is a relaxed Si4H2O9 crystal from the Materials Project database. Energies are from PBE-GGA.

a = 7.647 Å, b = 7.649 Å, c = 15.469 Å
α = 75.74°, β = 75.73°, γ = 89.96°
Space group P1 (No. 1)
One atom of each set of equivalent atoms:
Si 0.000 0.000 0.000 (multiplicity 1)
Si 0.000 0.406 0.999 (multiplicity 1)
Si 0.028 0.322 0.352 (multiplicity 1)
Si 0.029 0.731 0.352 (multiplicity 1)
Si 0.047 0.954 0.499 (multiplicity 1)
Si 0.350 0.351 0.704 (multiplicity 1)
Si 0.368 0.573 0.852 (multiplicity 1)
Si 0.369 0.982 0.852 (multiplicity 1)
Si 0.396 0.897 0.204 (multiplicity 1)
Si 0.398 0.303 0.204 (multiplicity 1)
Si 0.453 0.953 0.499 (multiplicity 1)
Si 0.618 0.323 0.352 (multiplicity 1)
Si 0.620 0.733 0.351 (multiplicity 1)
Si 0.778 0.572 0.852 (multiplicity 1)
Si 0.780 0.982 0.851 (multiplicity 1)
Si 0.945 0.352 0.704 (multiplicity 1)
H 0.023 0.742 0.105 (multiplicity 1)
H 0.371 0.558 0.100 (multiplicity 1)
H 0.539 0.802 0.078 (multiplicity 1)
H 0.593 0.987 0.606 (multiplicity 1)
H 0.598 0.492 0.597 (multiplicity 1)
H 0.800 0.813 0.606 (multiplicity 1)
H 0.805 0.318 0.597 (multiplicity 1)
H 0.844 0.526 0.111 (multiplicity 1)
O 0.037 0.159 0.440 (multiplicity 1)
O 0.038 0.808 0.440 (multiplicity 1)
O 0.048 0.514 0.378 (multiplicity 1)
O 0.163 0.367 0.673 (multiplicity 1)
O 0.192 0.829 0.264 (multiplicity 1)
O 0.193 0.312 0.264 (multiplicity 1)
O 0.205 0.992 0.940 (multiplicity 1)
O 0.206 0.476 0.940 (multiplicity 1)
O 0.234 0.938 0.531 (multiplicity 1)
O 0.349 0.791 0.826 (multiplicity 1)
O 0.359 0.497 0.764 (multiplicity 1)
O 0.361 0.145 0.763 (multiplicity 1)
O 0.415 0.115 0.172 (multiplicity 1)
O 0.419 0.818 0.113 (multiplicity 1)
O 0.456 0.465 0.109 (multiplicity 1)
O 0.517 0.386 0.611 (multiplicity 1)
O 0.521 0.159 0.440 (multiplicity 1)
O 0.522 0.807 0.440 (multiplicity 1)
O 0.525 0.894 0.593 (multiplicity 1)
O 0.544 0.314 0.264 (multiplicity 1)
O 0.544 0.831 0.263 (multiplicity 1)
O 0.560 0.528 0.878 (multiplicity 1)
O 0.561 0.000 0.878 (multiplicity 1)
O 0.573 0.515 0.378 (multiplicity 1)
O 0.824 0.790 0.825 (multiplicity 1)
O 0.836 0.303 0.326 (multiplicity 1)
O 0.837 0.778 0.326 (multiplicity 1)
O 0.853 0.990 0.940 (multiplicity 1)
O 0.854 0.474 0.939 (multiplicity 1)
O 0.872 0.410 0.610 (multiplicity 1)
O 0.875 0.498 0.763 (multiplicity 1)
O 0.876 0.146 0.763 (multiplicity 1)
O 0.881 0.919 0.593 (multiplicity 1)
O 0.941 0.838 0.094 (multiplicity 1)
O 0.964 0.484 0.091 (multiplicity 1)
O 0.984 0.188 0.031 (multiplicity 1)

## Properties
The value obtained for the energy above the most stable polymorph in this dataset is 1.6 kJ per mole of atoms. Its magnetization is 0.0 μB per formula unit. The crystal system is triclinic. For the total energy after the MP2020 corrections, the calculation gives -7.68 eV/atom.


5.
Here is a relaxed Cr2SbAs crystal from the Materials Project database. Energies are from PBE-GGA.

a = 3.788 Å, b = 6.593 Å, c = 5.820 Å
α = 90.00°, β = 90.00°, γ = 90.00°
Space group Pmc2_1 (No. 26)
One atom of each set of equivalent atoms:
Cr 0.000 0.029 0.000 (multiplicity 2)
Cr 0.500 0.458 0.997 (multiplicity 2)
Sb 0.000 0.333 0.705 (multiplicity 2)
As 0.500 0.166 0.273 (multiplicity 2)

## Properties
Its magnetization is 5.2 μB per formula unit. The crystal system is orthorhombic.


| no. | energy (eV/atom) |
| --- | --- |
| 1 | -5.954 |
| 2 | -2.949 |
| 3 | -2.632 |
| 4 | -7.266 |
| 5 | -7.005 |